# K6Na2V2S7O30

An optimized crystal structure of K6Na2V2S7O30 (GGA+U, Materials Project).

Cell: 9.7092 9.7092 30.0862 Å, 90.00 90.00 90.00°
With the nearest neighbours (Å) after each atom.
Fractional positions:
O 0.2824 0.4782 0.5651  1 S 1.48
S 0.2130 0.2130 0.0000  4 O 1.46-1.52
O 0.8588 0.6043 0.2938  1 S 1.57
O 0.8669 0.1861 0.5855  1 S 1.47
O 0.8199 0.5281 0.9908  1 S 1.47
O 0.1922 0.0507 0.3595  1 S 1.48
K 0.1763 0.5087 0.6542  3 O 2.66-2.89
Na 0.8403 0.2728 0.6776  5 O 2.32-2.51
O 0.1821 0.4607 0.0906  1 S 1.46
O 0.8220 0.8813 0.4614  1 S 1.52
K 0.9362 0.0591 0.3123  6 O 2.66-2.90
O 0.4782 0.2824 0.4349  1 S 1.48
O 0.4916 0.4835 0.1514  1 S 1.59
O 0.3113 0.6069 0.3110  1 S 1.46
Na 0.7272 0.1597 0.8224  5 O 2.32-2.51
O 0.1331 0.8139 0.0855  1 S 1.47
O 0.6861 0.6331 0.8355  1 S 1.47
S 0.1474 0.3869 0.1315  4 O 1.46-1.56
O 0.1069 0.1887 0.5610  1 S 1.46
O 0.3107 0.8538 0.7657  1 S 1.46
O 0.1187 0.1780 0.0386  1 S 1.52
K 0.8237 0.4913 0.1542  3 O 2.66-2.89
O 0.1043 0.6412 0.5438  1 S 1.57
Na 0.2728 0.8403 0.3224  5 O 2.32-2.51
S 0.6131 0.8526 0.3685  4 O 1.46-1.56
K 0.6763 0.9913 0.5958  3 O 2.66-2.89
K 0.5591 0.5638 0.5623  6 O 2.66-2.90
O 0.1887 0.1069 0.4390  1 S 1.46
S 0.9408 0.7335 0.2766  4 O 1.47-1.57
V 0.5707 0.6725 0.6854  1 O 1.60
O 0.6412 0.1043 0.4562  1 S 1.57
O 0.8931 0.8113 0.0610  1 S 1.46
O 0.9098 0.1488 0.4738  1 V 1.60
K 0.0087 0.3237 0.9042  3 O 2.66-2.89
O 0.4719 0.1801 0.5092  1 S 1.47
O 0.8107 0.6462 0.4843  1 S 1.46
O 0.4835 0.4916 0.8486  1 S 1.59
V 0.8275 0.0707 0.4354  1 O 1.60
S 0.7870 0.7870 0.5000  4 O 1.46-1.52
K 0.6037 0.0826 0.9814  8 O 2.75-3.07
S 0.4408 0.7665 0.9734  4 O 1.47-1.57
O 0.1893 0.3538 0.9843  1 S 1.46
O 0.1601 0.1560 0.2388  1 S 1.47
O 0.5393 0.8179 0.4094  1 S 1.46
S 0.6471 0.4901 0.8456  4 O 1.46-1.59
O 0.0507 0.1922 0.6405  1 S 1.48
O 0.7234 0.7003 0.6442  1 S 1.56
O 0.3078 0.5507 0.3905  1 S 1.48
O 0.8512 0.0902 0.0262  1 V 1.60
O 0.6821 0.0393 0.1594  1 S 1.46
O 0.9607 0.3179 0.3406  1 S 1.46
S 0.5592 0.2335 0.4734  4 O 1.47-1.57
Na 0.7728 0.6597 0.9276  5 O 2.32-2.51
O 0.6043 0.8588 0.7062  1 S 1.57
O 0.3669 0.3139 0.6645  1 S 1.47
O 0.7766 0.2003 0.1058  1 S 1.56
V 0.1725 0.9293 0.9354  1 O 1.60
O 0.1780 0.1187 0.9614  1 S 1.52
Na 0.1597 0.7272 0.1776  5 O 2.32-2.51
O 0.1861 0.8669 0.4145  1 S 1.47
O 0.3931 0.6887 0.1890  1 S 1.46
O 0.1801 0.4719 0.4908  1 S 1.47
O 0.0084 0.9835 0.5986  1 S 1.59
S 0.8869 0.3526 0.3815  4 O 1.46-1.56
O 0.8139 0.1331 0.9145  1 S 1.47
O 0.0211 0.6119 0.9185  1 S 1.47
O 0.0165 0.9916 0.9014  1 S 1.59
O 0.8957 0.3588 0.0438  1 S 1.57
O 0.3881 0.9789 0.5815  1 S 1.47
O 0.6462 0.8107 0.5157  1 S 1.46
S 0.2335 0.5592 0.5266  4 O 1.47-1.57
O 0.7003 0.7234 0.3558  1 S 1.56
K 0.3963 0.9174 0.4814  8 O 2.75-3.07
O 0.3512 0.4098 0.2238  1 V 1.60
O 0.0356 0.2841 0.1246  1 S 1.49
O 0.2159 0.5356 0.8746  1 S 1.49
O 0.0218 0.7824 0.3151  1 S 1.48
K 0.5826 0.8963 0.2314  8 O 2.75-3.07
O 0.3220 0.6187 0.7886  1 S 1.52
S 0.2870 0.7130 0.7500  4 O 1.46-1.52
O 0.2003 0.7766 0.8942  1 S 1.56
O 0.6069 0.3113 0.6890  1 S 1.46
O 0.3199 0.9719 0.2592  1 S 1.47
O 0.3538 0.1893 0.0157  1 S 1.46
O 0.9782 0.2176 0.8151  1 S 1.48
O 0.9719 0.3199 0.7408  1 S 1.47
O 0.1119 0.4789 0.1685  1 S 1.47
O 0.1488 0.9098 0.5262  1 V 1.60
K 0.5638 0.5591 0.4377  6 O 2.66-2.90
O 0.5211 0.8881 0.3315  1 S 1.47
S 0.9901 0.8529 0.0956  4 O 1.46-1.59
S 0.7130 0.2870 0.2500  4 O 1.46-1.52
O 0.6887 0.3931 0.8110  1 S 1.46
O 0.6601 0.3440 0.0112  1 S 1.47
O 0.7159 0.9644 0.3754  1 S 1.49
O 0.6560 0.3399 0.4888  1 S 1.47
O 0.2997 0.2766 0.8558  1 S 1.56
S 0.3529 0.5099 0.3456  4 O 1.46-1.59
S 0.5099 0.3529 0.6544  4 O 1.46-1.59
O 0.4644 0.7841 0.6254  1 S 1.49
K 0.4913 0.8237 0.8458  3 O 2.66-2.89
O 0.1412 0.3957 0.7938  1 S 1.57
V 0.9293 0.1725 0.0646  1 O 1.60
S 0.7335 0.9408 0.7234  4 O 1.47-1.57
S 0.2665 0.0592 0.2234  4 O 1.47-1.57
O 0.7824 0.0218 0.6849  1 S 1.48
O 0.6119 0.0211 0.0815  1 S 1.47
K 0.9174 0.3963 0.5186  8 O 2.75-3.07
O 0.8538 0.3107 0.2343  1 S 1.46
K 0.5087 0.1763 0.3458  3 O 2.66-2.89
O 0.6331 0.6861 0.1645  1 S 1.47
S 0.0592 0.2665 0.7766  4 O 1.47-1.57
K 0.1037 0.4174 0.2686  8 O 2.75-3.07
O 0.6801 0.0281 0.7592  1 S 1.47
S 0.1131 0.6474 0.8815  4 O 1.46-1.56
K 0.9913 0.6763 0.4042  3 O 2.66-2.89
K 0.3237 0.0087 0.0958  3 O 2.66-2.89
O 0.8881 0.5211 0.6685  1 S 1.47
S 0.3526 0.8869 0.6185  4 O 1.46-1.56
O 0.2176 0.9782 0.1849  1 S 1.48
O 0.1560 0.1601 0.7612  1 S 1.47
V 0.4293 0.3275 0.1854  1 O 1.60
S 0.8526 0.6131 0.6315  4 O 1.46-1.56
O 0.2766 0.2997 0.1442  1 S 1.56
S 0.7665 0.4408 0.0266  4 O 1.47-1.57
O 0.5507 0.3078 0.6095  1 S 1.48
O 0.5356 0.2159 0.1254  1 S 1.49
Na 0.3403 0.2272 0.5724  5 O 2.32-2.51
O 0.3588 0.8957 0.9562  1 S 1.57
O 0.6488 0.5902 0.7238  1 V 1.60
K 0.9409 0.0638 0.1877  6 O 2.66-2.90
O 0.3179 0.9607 0.6594  1 S 1.46
O 0.5218 0.7176 0.9349  1 S 1.48
S 0.8529 0.9901 0.9044  4 O 1.46-1.59
K 0.4174 0.1037 0.7314  8 O 2.75-3.07
O 0.3139 0.3669 0.3355  1 S 1.47
O 0.8813 0.8220 0.5386  1 S 1.52
O 0.5084 0.5165 0.6514  1 S 1.59
K 0.4362 0.4409 0.9377  6 O 2.66-2.90
O 0.3957 0.1412 0.2062  1 S 1.57
S 0.4901 0.6471 0.1544  4 O 1.46-1.59
O 0.7841 0.4644 0.3746  1 S 1.49
O 0.0281 0.6801 0.2408  1 S 1.47
O 0.3399 0.6560 0.5112  1 S 1.47
O 0.6780 0.3813 0.2886  1 S 1.52
O 0.8113 0.8931 0.9390  1 S 1.46
Na 0.2272 0.3403 0.4276  5 O 2.32-2.51
S 0.3869 0.1474 0.8685  4 O 1.46-1.56
K 0.4409 0.4362 0.0623  6 O 2.66-2.90
O 0.5281 0.8199 0.0092  1 S 1.47
O 0.6893 0.1462 0.2657  1 S 1.46
S 0.6474 0.1131 0.1185  4 O 1.46-1.56
O 0.8399 0.8440 0.7388  1 S 1.47
O 0.2234 0.7997 0.6058  1 S 1.56
O 0.5165 0.5084 0.3486  1 S 1.59
O 0.9916 0.0165 0.0986  1 S 1.59
S 0.1471 0.0099 0.4044  4 O 1.46-1.59
O 0.2841 0.0356 0.8754  1 S 1.49
O 0.9835 0.0084 0.4014  1 S 1.59
O 0.1462 0.6893 0.7343  1 S 1.46
O 0.4493 0.6922 0.1095  1 S 1.48
O 0.6922 0.4493 0.8905  1 S 1.48
O 0.4789 0.1119 0.8315  1 S 1.47
K 0.8963 0.5826 0.7686  8 O 2.75-3.07
V 0.6725 0.5707 0.3146  1 O 1.60
O 0.4607 0.1821 0.9094  1 S 1.46
O 0.5902 0.6488 0.2762  1 V 1.60
S 0.0099 0.1471 0.5956  4 O 1.46-1.59
O 0.9644 0.7159 0.6246  1 S 1.49
V 0.3275 0.4293 0.8146  1 O 1.60
O 0.9493 0.8078 0.1405  1 S 1.48
O 0.9789 0.3881 0.4185  1 S 1.47
O 0.3440 0.6601 0.9888  1 S 1.47
K 0.0638 0.9409 0.8123  6 O 2.66-2.90
O 0.8440 0.8399 0.2612  1 S 1.47
O 0.3813 0.6780 0.7114  1 S 1.52
O 0.0902 0.8512 0.9738  1 V 1.60
O 0.0393 0.6821 0.8406  1 S 1.46
O 0.4098 0.3512 0.7762  1 V 1.60
O 0.8179 0.5393 0.5906  1 S 1.46
K 0.0826 0.6037 0.0186  8 O 2.75-3.07
O 0.8078 0.9493 0.8595  1 S 1.48
O 0.6187 0.3220 0.2114  1 S 1.52
K 0.0591 0.9362 0.6877  6 O 2.66-2.90
O 0.7176 0.5218 0.0651  1 S 1.48
O 0.7997 0.2234 0.3942  1 S 1.56
V 0.0707 0.8275 0.5646  1 O 1.60
Na 0.6597 0.7728 0.0724  5 O 2.32-2.51

## Properties
final energy = -6.017 eV per atom
energy with MP2020 corrections = -6.528 eV per atom
total magnetization = 0.00 Bohr magnetons per cell

# Li3Ni5O10

An optimized crystal structure of Li3Ni5O10 (GGA+U, Materials Project).

Cell: 6.5108 7.4919 7.6971 Å, 110.11 93.06 75.94°
With the nearest neighbours (Å) after each atom.
Fractional positions:
O 0.8374 0.8846 0.3730  2 Ni 1.86-1.91, 1 Li 2.05
O 0.4624 0.0090 0.3267  3 Ni 1.86-2.05, 1 Li 2.06
O 0.8527 0.2244 0.9485  3 Ni 1.91-1.92
Li 0.9513 0.3486 0.5505  6 O 2.06-2.17
Li 0.3457 0.5512 0.1470  6 O 2.05-2.24
O 0.7628 0.5695 0.4465  3 Ni 1.88-1.99, 1 Li 2.09
Ni 0.3010 0.8989 0.6997  6 O 1.86-1.92
Ni 0.5052 0.5003 0.5046  6 O 1.89-2.08
O 0.0538 0.4639 0.1554  3 Ni 1.90-2.02
Li 0.8457 0.0511 0.6469  6 O 2.05-2.24
O 0.2379 0.4461 0.5502  3 Ni 1.86-2.00, 1 Li 2.02
Li 0.0522 0.6454 0.4509  6 O 2.02-2.23
O 0.5535 0.9639 0.6554  3 Ni 1.90-2.02
Ni 0.0998 0.2999 0.9018  6 O 1.86-1.93
O 0.3375 0.3846 0.8729  2 Ni 1.86-1.91, 1 Li 2.05
O 0.6633 0.2724 0.5464  3 Ni 1.88-2.05, 1 Li 2.08
O 0.4413 0.6886 0.7720  3 Ni 1.86-2.05, 1 Li 2.07
Li 0.4514 0.8484 0.0504  6 O 2.06-2.17
Ni 0.7005 0.1026 0.2991  6 O 1.86-1.91
O 0.5599 0.3193 0.2288  3 Ni 1.86-2.08
O 0.3527 0.7241 0.4483  3 Ni 1.91-1.92
O 0.2627 0.0693 0.9463  3 Ni 1.88-1.98, 1 Li 2.09
O 0.9415 0.1887 0.2721  3 Ni 1.86-2.05, 1 Li 2.07
Ni 0.8926 0.6999 0.0930  6 O 2.00-2.12
Ni 0.3924 0.1998 0.5927  6 O 2.00-2.12
Ni 0.5997 0.8000 0.4019  6 O 1.86-1.93
O 0.6305 0.6258 0.1562  3 Ni 1.88-2.05, 1 Li 2.05
O 0.1634 0.7724 0.0463  3 Ni 1.88-2.05, 1 Li 2.08
Ni 0.2003 0.6025 0.7991  6 O 1.86-1.91
O 0.0596 0.8191 0.7286  2 Ni 1.86-1.90
Ni 0.8013 0.3991 0.1999  6 O 1.86-1.92
O 0.9623 0.5090 0.8268  3 Ni 1.86-2.05, 1 Li 2.06
Ni 0.0052 0.0004 0.0046  6 O 1.89-2.08
Li 0.5523 0.1455 0.9508  6 O 2.02-2.23
O 0.7381 0.9462 0.0502  3 Ni 1.86-2.00, 1 Li 2.02
O 0.1303 0.1257 0.6561  3 Ni 1.88-2.05, 1 Li 2.05

## Properties
final energy = -4.831 eV per atom
energy with MP2020 corrections = -5.919 eV per atom
total magnetization = 6.01 Bohr magnetons per cell

Among the records above, which one has the lowest energy with MP2020 corrections? K6Na2V2S7O30

What is the total magnetization in the second record? 6.01 Bohr magnetons per cell